1.
Computed, not measured: crystalline ZrNiP2 at its relaxed geometry at the GGA-PBE level of DFT.

a = 3.6076 Å, b = 3.6076 Å, c = 8.9686 Å
α = 90.00°, β = 90.00°, γ = 90.00°
Last column: nearest neighbours and their distance in Å.
Space group P4/nmm (No. 129, origin choice 2)
Inequivalent atoms, fractional coordinates:
Zr: 0.2500 0.2500 0.2296  8 P 2.74-2.75, 4 Ni 3.02
Ni: 0.2500 0.7500 0.5000  4 P 2.28, 4 Ni 2.55
P: 0.2500 0.2500 0.6551  4 Ni 2.28
P: 0.2500 0.7500 0.0000  4 P 2.55, 4 Zr 2.74

Results
Its crystal system is tetragonal. For the formation energy, the calculation gives -91 kJ per mole of atoms.



2.
Computed, not measured: crystalline PaNi2Sb at its relaxed geometry at the GGA-PBE level of DFT.

a = 6.5320 Å, b = 6.5320 Å, c = 6.5320 Å
α = 90.00°, β = 90.00°, γ = 90.00°
Last column: nearest neighbours and their distance in Å.
Space group Fm-3m (No. 225)
Inequivalent atoms, fractional coordinates:
Pa: 0.0000 0.0000 0.0000  8 Ni 2.83
Ni: 0.2500 0.2500 0.2500  4 Pa 2.83, 4 Sb 2.83
Sb: 0.0000 0.0000 0.5000  8 Ni 2.83

Results
The calculation puts the total energy after the MP2020 corrections at -6.7695 eV per atom. Its crystal system is cubic. For the formation energy, the calculation gives -45 kJ per mole of atoms.



3.
Computed, not measured: crystalline PaZnNi2 at its relaxed geometry at the GGA-PBE level of DFT.

a = 6.2878 Å, b = 6.2878 Å, c = 6.2878 Å
α = 90.00°, β = 90.00°, γ = 90.00°
Last column: nearest neighbours and their distance in Å.
Space group Fm-3m (No. 225)
Inequivalent atoms, fractional coordinates:
Pa: 0.0000 0.0000 0.0000  8 Ni 2.72
Zn: 0.0000 0.0000 0.5000  8 Ni 2.72
Ni: 0.2500 0.2500 0.2500  4 Pa 2.72, 4 Zn 2.72

Results
Its crystal system is cubic. For the formation energy, the calculation gives -26 kJ per mole of atoms. The calculation puts the total magnetic moment at 0.01 μB per formula unit.



4.
Computed, not measured: crystalline Ni3Pb at its relaxed geometry at the GGA-PBE level of DFT.

a = 3.8085 Å, b = 3.8085 Å, c = 3.8085 Å
α = 90.00°, β = 90.00°, γ = 90.00°
Last column: nearest neighbours and their distance in Å.
Space group Pm-3m (No. 221)
Inequivalent atoms, fractional coordinates:
Ni: 0.0000 0.0000 0.5000  4 Pb 2.69, 8 Ni 2.69
Pb: 0.5000 0.5000 0.5000  12 Ni 2.69

Results
Its crystal system is cubic. For the formation energy, the calculation gives 13 kJ per mole of atoms. The calculation puts the total magnetic moment at 0.01 μB per formula unit.



5.
Computed, not measured: crystalline Pr5NiPb3 at its relaxed geometry at the GGA-PBE level of DFT.

a = 9.4159 Å, b = 9.4159 Å, c = 6.9653 Å
α = 90.00°, β = 90.00°, γ = 120.00°
Last column: nearest neighbours and their distance in Å.
Space group P6_3/mcm (No. 193)
Inequivalent atoms, fractional coordinates:
Pr: 0.0000 0.2386 0.2500  2 Ni 2.84
Pr: 0.3333 0.6667 0.0000  6 Pb 3.36, 2 Pr 3.48
Ni: 0.0000 0.0000 0.0000  6 Pr 2.84
Pb: 0.0000 0.4027 0.7500  7 Pr 3.30-3.38

Results
Its crystal system is hexagonal. For the formation energy, the calculation gives -47 kJ per mole of atoms. The calculation puts the total magnetic moment at 0.00 μB per formula unit.



6.
Computed, not measured: crystalline Ni3Pb2S2 at its relaxed geometry at the GGA-PBE level of DFT.

a = 8.0470 Å, b = 8.0470 Å, c = 8.0470 Å
α = 90.00°, β = 90.00°, γ = 90.00°
Last column: nearest neighbours and their distance in Å.
Space group I2_13 (No. 199)
Inequivalent atoms, fractional coordinates:
Ni: 0.0000 0.0000 0.2500  2 S 2.16
Pb: 0.2443 0.2557 0.7443  6 Ni 2.85-2.91, 1 S 3.17
S: 0.0168 0.4832 0.5168  3 Ni 2.16

Results
The energy above the most stable polymorph in this dataset is 0.000 eV per atom. The calculation puts the total energy after the MP2020 corrections at -5.1887 eV per atom. Its crystal system is cubic. For the formation energy, the calculation gives -45 kJ per mole of atoms.



7.
Computed, not measured: crystalline Ni3Pb2S2 at its relaxed geometry at the GGA-PBE level of DFT.

a = 5.6753 Å, b = 5.6753 Å, c = 13.7953 Å
α = 90.00°, β = 90.00°, γ = 120.00°
Last column: nearest neighbours and their distance in Å.
Space group R-3m (No. 166, hexagonal axes)
Inequivalent atoms, fractional coordinates:
Ni: 0.0000 0.5000 0.0000  2 S 2.18
Pb: 0.0000 0.0000 0.0000  6 Ni 2.84, 2 S 3.16
Pb: 0.0000 0.0000 0.5000  6 Ni 2.82
S: 0.0000 0.0000 0.2289  3 Ni 2.18

Results
The energy above the most stable polymorph in this dataset is 0.004 eV per atom. The calculation puts the total energy after the MP2020 corrections at -5.1844 eV per atom. Its crystal system is trigonal. For the formation energy, the calculation gives -45 kJ per mole of atoms.



8.
Computed, not measured: crystalline Ni3Pb2SeS at its relaxed geometry at the GGA-PBE level of DFT.

a = 5.6902 Å, b = 5.6902 Å, c = 14.1462 Å
α = 90.00°, β = 90.00°, γ = 120.00°
Last column: nearest neighbours and their distance in Å.
Space group R3m (No. 160, hexagonal axes)
Inequivalent atoms, fractional coordinates:
Ni: 0.0069 0.5035 0.0000  1 S 2.16, 1 Se 2.31
Pb: 0.0000 0.0000 0.0032  6 Ni 2.85, 1 Se 3.17
Pb: 0.0000 0.0000 0.5023  6 Ni 2.87-2.88
Se: 0.0000 0.0000 0.7791  3 Ni 2.31
S: 0.0000 0.0000 0.2309  3 Ni 2.16

Results
The calculation puts the total energy after the MP2020 corrections at -4.9817 eV per atom. Its crystal system is trigonal. For the formation energy, the calculation gives -34 kJ per mole of atoms. The calculation puts the total magnetic moment at 0.00 μB per formula unit.



9.
Computed, not measured: crystalline SmNiPb at its relaxed geometry at the GGA-PBE level of DFT.

a = 7.3318 Å, b = 4.5898 Å, c = 7.8705 Å
α = 90.00°, β = 90.00°, γ = 90.00°
Last column: nearest neighbours and their distance in Å.
Space group Pnma (No. 62)
Inequivalent atoms, fractional coordinates:
Sm: 0.0122 0.2500 0.2019  5 Ni 3.04-3.30, 6 Pb 3.20-3.32
Ni: 0.2125 0.7500 0.4133  4 Pb 2.66-2.93
Pb: 0.1871 0.2500 0.5833  4 Ni 2.66-2.93

Results
Its crystal system is orthorhombic. For the formation energy, the calculation gives -39 kJ per mole of atoms. The calculation puts the total magnetic moment at 0.00 μB per formula unit.



10.
Computed, not measured: crystalline Tb12Ni6Pb at its relaxed geometry at the GGA-PBE level of DFT.

a = 9.7697 Å, b = 9.7697 Å, c = 9.7697 Å
α = 90.00°, β = 90.00°, γ = 90.00°
Last column: nearest neighbours and their distance in Å.
Space group Im-3 (No. 204)
Inequivalent atoms, fractional coordinates:
Tb: 0.0000 0.3050 0.1876  3 Ni 2.65-2.91
Ni: 0.0000 0.1240 0.5000  1 Ni 2.42, 2 Tb 2.65
Pb: 0.0000 0.0000 0.0000  12 Tb 3.50

Results
Its crystal system is cubic. For the formation energy, the calculation gives -35 kJ per mole of atoms.



11.
Computed, not measured: crystalline Tm5NiPb3 at its relaxed geometry at the GGA-PBE level of DFT.

a = 9.0673 Å, b = 9.0673 Å, c = 6.6538 Å
α = 90.00°, β = 90.00°, γ = 120.00°
Last column: nearest neighbours and their distance in Å.
Space group P6_3/mcm (No. 193)
Inequivalent atoms, fractional coordinates:
Tm: 0.0000 0.2374 0.2500  2 Ni 2.72
Tm: 0.3333 0.6667 0.0000  6 Pb 3.23, 2 Tm 3.33
Ni: 0.0000 0.0000 0.0000  6 Tm 2.72
Pb: 0.0000 0.3990 0.7500  7 Tm 3.15-3.30

Results
Its crystal system is hexagonal. For the formation energy, the calculation gives -48 kJ per mole of atoms.



12.
Computed, not measured: crystalline Tm2Ni2Pb at its relaxed geometry at the GGA-PBE level of DFT.

a = 3.9413 Å, b = 14.1756 Å, c = 3.6425 Å
α = 90.00°, β = 90.00°, γ = 90.00°
Last column: nearest neighbours and their distance in Å.
Space group Cmmm (No. 65)
Inequivalent atoms, fractional coordinates:
Tm: 0.0000 0.1410 0.0000  6 Ni 2.81-2.91
Ni: 0.0000 0.3013 0.5000  2 Ni 2.45
Pb: 0.0000 0.5000 0.5000  2 Ni 2.82

Results
Its crystal system is orthorhombic. For the formation energy, the calculation gives -51 kJ per mole of atoms.



13.
Computed, not measured: crystalline NiPd at its relaxed geometry at the GGA-PBE level of DFT.

a = 2.6975 Å, b = 2.6975 Å, c = 12.7770 Å
α = 90.00°, β = 90.00°, γ = 120.00°
Last column: nearest neighbours and their distance in Å.
Space group R-3m (No. 166, hexagonal axes)
Inequivalent atoms, fractional coordinates:
Ni: 0.0000 0.0000 0.0000  6 Pd 2.64, 6 Ni 2.70
Pd: 0.0000 0.0000 0.5000  6 Ni 2.64, 6 Pd 2.70

Results
Its crystal system is trigonal. For the formation energy, the calculation gives 6 kJ per mole of atoms.



14.
Computed, not measured: crystalline NiPd3 at its relaxed geometry at the GGA-PBE level of DFT.

a = 5.3900 Å, b = 5.3900 Å, c = 4.4205 Å
α = 90.00°, β = 90.00°, γ = 120.00°
Last column: nearest neighbours and their distance in Å.
Space group P6_3/mmc (No. 194)
Inequivalent atoms, fractional coordinates:
Ni: 0.3333 0.6667 0.2500  12 Pd 2.69-2.70
Pd: 0.1693 0.3386 0.7500  8 Pd 2.65-2.74, 4 Ni 2.69-2.70

Results
Its crystal system is hexagonal. For the formation energy, the calculation gives 7 kJ per mole of atoms. The calculation puts the total magnetic moment at 1.60 μB per formula unit.



15.
Computed, not measured: crystalline Sc2NiPd at its relaxed geometry at the GGA-PBE level of DFT.

a = 6.4997 Å, b = 6.4997 Å, c = 6.4997 Å
α = 90.00°, β = 90.00°, γ = 90.00°
Last column: nearest neighbours and their distance in Å.
Space group Fm-3m (No. 225)
Inequivalent atoms, fractional coordinates:
Sc: 0.2500 0.2500 0.2500  4 Ni 2.81, 4 Pd 2.81
Ni: 0.0000 0.0000 0.0000  8 Sc 2.81
Pd: 0.0000 0.0000 0.5000  8 Sc 2.81

Results
Its crystal system is cubic. For the formation energy, the calculation gives -66 kJ per mole of atoms.



16.
Computed, not measured: crystalline Si2NiPd at its relaxed geometry at the GGA-PBE level of DFT.

a = 3.4169 Å, b = 5.9095 Å, c = 5.4288 Å
α = 90.00°, β = 90.00°, γ = 90.00°
Last column: nearest neighbours and their distance in Å.
Space group Pmc2_1 (No. 26)
Inequivalent atoms, fractional coordinates:
Si: 0.0000 0.1514 0.0000  4 Ni 2.33-2.48, 1 Pd 2.42
Si: 0.5000 0.3071 0.6451  2 Ni 2.32-2.34, 4 Pd 2.50-2.54
Ni: 0.5000 0.0542 0.3141  6 Si 2.32-2.48
Pd: 0.0000 0.4319 0.3256  6 Si 2.42-2.64

Results
Its crystal system is orthorhombic. For the formation energy, the calculation gives -49 kJ per mole of atoms.



17.
Computed, not measured: crystalline SiNiPd at its relaxed geometry at the GGA-PBE level of DFT.

a = 6.1270 Å, b = 6.1270 Å, c = 3.4872 Å
α = 90.00°, β = 90.00°, γ = 120.00°
Last column: nearest neighbours and their distance in Å.
Space group P-62m (No. 189)
Inequivalent atoms, fractional coordinates:
Si: 0.0000 0.0000 0.0000  6 Ni 2.33, 3 Pd 2.45
Si: 0.3333 0.6667 0.5000  3 Ni 2.33, 6 Pd 2.56
Ni: 0.0000 0.2534 0.5000  4 Si 2.33
Pd: 0.0000 0.5999 0.0000  5 Si 2.45-2.56

Results
Its crystal system is hexagonal. For the formation energy, the calculation gives -60 kJ per mole of atoms.



18.
Computed, not measured: crystalline Ti2NiPd at its relaxed geometry at the GGA-PBE level of DFT.

a = 2.7743 Å, b = 4.4541 Å, c = 4.7754 Å
α = 90.00°, β = 90.00°, γ = 90.00°
Last column: nearest neighbours and their distance in Å.
Space group Pmm2 (No. 25)
Inequivalent atoms, fractional coordinates:
Ti: 0.0000 0.0000 0.0000  4 Pd 2.67, 4 Ni 2.70-2.83, 4 Ti 2.77-2.99
Ti: 0.0000 0.5000 0.4174  4 Pd 2.66-2.86, 4 Ni 2.67, 2 Ti 2.77
Ni: 0.5000 0.0000 0.5161  8 Ti 2.67-2.83, 2 Ni 2.77, 2 Pd 2.86
Pd: 0.5000 0.5000 0.8932  8 Ti 2.66-2.86, 2 Pd 2.77, 2 Ni 2.86

Results
Its crystal system is orthorhombic. For the formation energy, the calculation gives -41 kJ per mole of atoms. The calculation puts the total magnetic moment at 0.00 μB per formula unit.



19.
Computed, not measured: crystalline Pm2NiPt at its relaxed geometry at the GGA-PBE level of DFT.

a = 7.0880 Å, b = 7.0880 Å, c = 7.0880 Å
α = 90.00°, β = 90.00°, γ = 90.00°
Last column: nearest neighbours and their distance in Å.
Space group Fm-3m (No. 225)
Inequivalent atoms, fractional coordinates:
Pm: 0.2500 0.2500 0.2500  4 Ni 3.07, 4 Pt 3.07
Ni: 0.0000 0.0000 0.0000  8 Pm 3.07
Pt: 0.0000 0.0000 0.5000  8 Pm 3.07

Results
Its crystal system is cubic. For the formation energy, the calculation gives -64 kJ per mole of atoms.



20.
Computed, not measured: crystalline Pm2NiRu at its relaxed geometry at the GGA-PBE level of DFT.

a = 6.9722 Å, b = 6.9722 Å, c = 6.9722 Å
α = 90.00°, β = 90.00°, γ = 90.00°
Last column: nearest neighbours and their distance in Å.
Space group Fm-3m (No. 225)
Inequivalent atoms, fractional coordinates:
Pm: 0.2500 0.2500 0.2500  4 Ru 3.02, 4 Ni 3.02
Ni: 0.0000 0.0000 0.0000  8 Pm 3.02
Ru: 0.0000 0.0000 0.5000  8 Pm 3.02

Results
Its crystal system is cubic. For the formation energy, the calculation gives -21 kJ per mole of atoms.



21.
Computed, not measured: crystalline Pm2SiNi at its relaxed geometry at the GGA-PBE level of DFT.

a = 7.1113 Å, b = 7.1113 Å, c = 7.1113 Å
α = 90.00°, β = 90.00°, γ = 90.00°
Last column: nearest neighbours and their distance in Å.
Space group Fm-3m (No. 225)
Inequivalent atoms, fractional coordinates:
Pm: 0.2500 0.2500 0.2500  4 Si 3.08, 4 Ni 3.08
Si: 0.0000 0.0000 0.0000  8 Pm 3.08
Ni: 0.0000 0.0000 0.5000  8 Pm 3.08

Results
Its crystal system is cubic. For the formation energy, the calculation gives -36 kJ per mole of atoms.



22.
Computed, not measured: crystalline Pr2Ni7 at its relaxed geometry at the GGA-PBE level of DFT.

a = 4.9983 Å, b = 4.9983 Å, c = 36.8079 Å
α = 90.00°, β = 90.00°, γ = 120.00°
Last column: nearest neighbours and their distance in Å.
Space group R-3m (No. 166, hexagonal axes)
Inequivalent atoms, fractional coordinates:
Pr: 0.0000 0.0000 0.0509  12 Ni 2.89-3.12
Pr: 0.0000 0.0000 0.1473  12 Ni 2.88-3.20, 3 Pr 3.22
Ni: 0.0000 0.0000 0.2783  6 Ni 2.45-2.49
Ni: 0.0000 0.0000 0.3879  6 Ni 2.46-2.47
Ni: 0.0000 0.0000 0.5000  6 Ni 2.58
Ni: 0.0000 0.5000 0.0000  8 Ni 2.47-2.50
Ni: 0.0010 0.5005 0.1086  7 Ni 2.45-2.58

Results
Its crystal system is trigonal. For the formation energy, the calculation gives -27 kJ per mole of atoms. The calculation puts the total magnetic moment at 1.18 μB per formula unit.



23.
Computed, not measured: crystalline Pr2Ni7 at its relaxed geometry at the GGA-PBE level of DFT.

a = 5.0661 Å, b = 5.0661 Å, c = 24.6702 Å
α = 90.00°, β = 90.00°, γ = 120.00°
Last column: nearest neighbours and their distance in Å.
Space group P6_3/mmc (No. 194)
Inequivalent atoms, fractional coordinates:
Pr: 0.3333 0.6667 0.0298  12 Ni 2.91-3.25
Pr: 0.3333 0.6667 0.1744  12 Ni 2.93-3.15
Ni: 0.0000 0.0000 0.0000  6 Ni 2.61
Ni: 0.0000 0.0000 0.1690  6 Ni 2.48
Ni: 0.1660 0.3321 0.5875  7 Ni 2.46-2.61
Ni: 0.1669 0.3338 0.7500  8 Ni 2.48-2.54
Ni: 0.3333 0.6667 0.6675  6 Ni 2.46-2.50

Results
Its crystal system is hexagonal. For the formation energy, the calculation gives -27 kJ per mole of atoms. The calculation puts the total magnetic moment at 1.26 μB per formula unit.



One value per record, in order, for uncorrected energy: -57.85; -107.54; -93.62; -20.50; -90.45; -141.26; -105.85; -103.11; -61.75; -201.95; -87.62; -53.78; -32.53; -42.10; -105.51; -47.68; -54.76; -28.44; -96.01; -101.74; -88.80; -315.42; -210.29 eV/cell.